Compound: Na2Ca2Zr2MnFeSi4O17F
Source: Materials Project
Functional: PBE+U
Structure: optimized geometry

Cell lengths 7.2528, 10.0045, 10.9907 Å; angles 90.40, 108.34, 90.10 degrees
Fractional positions:
Na 0.6621 0.8842 0.0701
Na 0.3424 0.3853 0.4272
Na 0.3440 0.1140 0.9287
Na 0.6566 0.6172 0.5680
Ca 0.4807 0.6063 0.2038
Ca 0.5256 0.1078 0.3040
Ca 0.5271 0.3913 0.8048
Ca 0.4830 0.8964 0.7041
Zr 0.9766 0.6005 0.2093
Zr 0.0232 0.1038 0.2924
Zr 0.0218 0.3948 0.7909
Zr 0.9766 0.9000 0.7119
Mn 0.8462 0.1165 0.9399
Mn 0.1371 0.6242 0.5584
Fe 0.1349 0.8744 0.0580
Fe 0.8391 0.3905 0.4384
Si 0.7826 0.8312 0.3799
Si 0.2146 0.3261 0.1191
Si 0.2163 0.1720 0.6193
Si 0.7827 0.6699 0.8796
Si 0.3325 0.8307 0.3839
Si 0.6675 0.3300 0.1169
Si 0.6685 0.1699 0.6160
Si 0.3323 0.6713 0.8855
O 0.7879 0.7368 0.2588
O 0.2226 0.2354 0.2446
O 0.2227 0.2648 0.7450
O 0.7854 0.7624 0.7572
O 0.0320 0.5103 0.3794
O 0.9601 0.0188 0.1215
O 0.9531 0.4714 0.6155
O 0.0311 0.9882 0.8833
O 0.8256 0.9857 0.3496
O 0.1729 0.4810 0.1493
O 0.1758 0.0181 0.6542
O 0.8262 0.5153 0.8477
O 0.5500 0.8283 0.3663
O 0.4405 0.3212 0.1167
O 0.4442 0.1768 0.6208
O 0.5505 0.6719 0.8686
O 0.3414 0.7416 0.0196
O 0.6735 0.2389 0.4848
O 0.6716 0.2587 0.9848
O 0.3439 0.7612 0.5182
O 0.2745 0.9900 0.3761
O 0.7217 0.4890 0.1200
O 0.7248 0.0108 0.6224
O 0.2712 0.5123 0.8735
O 0.2032 0.7482 0.2555
O 0.7921 0.2531 0.2490
O 0.7917 0.2511 0.7465
O 0.2045 0.7539 0.7575
O 0.9099 0.7210 0.0213
O 0.0825 0.2264 0.4807
O 0.0758 0.2681 0.9807
O 0.9088 0.7797 0.5218
O 0.6172 0.4928 0.3809
O 0.6299 0.0091 0.8838
F 0.4033 0.0028 0.1161
F 0.4041 0.4965 0.6181

MP2020-corrected energy ... -8.10 eV/atom